(A)
Compound: Ni3Bi2S2
Source: the Materials Project
Functional: GGA-PBE
Structure: relaxed

Cell lengths 6.9589, 6.9589, 6.9589 Å; angles 109.47, 109.47, 109.47 degrees
With the nearest neighbours (Å) after each atom.
Fractional coordinates of all 14 atoms:
Bi  0.0000  0.4916  0.5000  6 Ni 2.74-2.90
S  0.5403  0.5403  0.5403  3 Ni 2.18
S  0.9597  0.5000  0.0000  3 Ni 2.18
Ni  0.9823  0.2323  0.7500  2 S 2.18
Bi  0.4916  0.5000  0.0000  6 Ni 2.74-2.90
Ni  0.2323  0.7500  0.9823  2 S 2.18
S  0.5000  0.0000  0.9597  3 Ni 2.18
Ni  0.2500  0.5177  0.2677  2 S 2.18
Bi  0.5000  0.0000  0.4916  6 Ni 2.74-2.90
Bi  0.0084  0.0084  0.0084  6 Ni 2.74-2.90
Ni  0.7500  0.9823  0.2323  2 S 2.18
Ni  0.2677  0.2500  0.5177  2 S 2.18
S  0.0000  0.9597  0.5000  3 Ni 2.18
Ni  0.5177  0.2677  0.2500  2 S 2.18

Calculated values
The space group is No. 199.


(B)
Compound: Ni3Bi2S2
Source: the Materials Project
Functional: GGA-PBE
Structure: relaxed

Cell lengths 5.5497, 5.5497, 5.5497 Å; angles 63.23, 63.23, 63.23 degrees
With the nearest neighbours (Å) after each atom.
Fractional coordinates of all 7 atoms:
Ni  0.5000  0.0000  0.0000  2 S 2.18
Ni  0.0000  0.0000  0.5000  2 S 2.18
S  0.7283  0.7283  0.7283  3 Ni 2.18
S  0.2717  0.2717  0.2717  3 Ni 2.18
Bi  0.5000  0.5000  0.5000  6 Ni 2.91, 2 S 3.03
Ni  0.0000  0.5000  0.0000  2 S 2.18
Bi  0.0000  0.0000  0.0000  6 Ni 2.77

Calculated values
The space group is No. 166.


(C)
Compound: Ni3Bi2S2
Source: the Materials Project
Functional: GGA-PBE
Structure: relaxed

Cell lengths 4.1284, 5.4010, 5.8827 Å; angles 90.00, 90.00, 90.00 degrees
With the nearest neighbours (Å) after each atom.
Fractional coordinates of all 7 atoms:
Ni  0.0000  0.2500  0.1839  2 S 2.17
S  0.5000  0.7500  0.7117  2 Ni 2.17
Bi  0.0000  0.7500  0.2564  6 Ni 2.73-2.88
Bi  0.0000  0.2500  0.7472  1 Ni 2.57
Ni  0.5000  0.5024  0.0033  2 S 2.17-2.21
S  0.5000  0.2500  0.2982  4 Ni 2.17-2.21
Ni  0.5000  0.9976  0.0033  2 S 2.17-2.21

Calculated values
The space group is No. 25.


(A) is preferred energetically. Next in line: 55 meV per atom higher.


(A)
Compound: BiP2O7
Source: the Materials Project
Functional: GGA-PBE
Structure: relaxed

Cell lengths 8.8190, 5.2035, 7.3551 Å; angles 70.40, 90.00, 90.00 degrees
With the nearest neighbours (Å) after each atom.
Fractional coordinates of all 20 atoms:
O  0.8748  0.3976  0.4232  1 P 1.54
O  0.2380  0.0420  0.1331  1 P 1.54
O  0.0192  0.7740  0.5053  1 P 1.54
O  0.8509  0.1319  0.1128  1 P 1.53
O  0.8867  0.4125  0.7668  2 P 1.61-1.62
Bi  0.0509  0.2012  0.2864  6 O 2.26-2.30
O  0.5192  0.2260  0.4947  1 P 1.54
O  0.7380  0.9580  0.8669  1 P 1.54
O  0.3748  0.6024  0.5768  1 P 1.54
O  0.6213  0.3778  0.9155  1 P 1.54
O  0.1213  0.6222  0.0845  1 P 1.54
P  0.3775  0.4076  0.4594  4 O 1.54-1.61
O  0.2285  0.2448  0.4952  1 P 1.54
Bi  0.5509  0.7988  0.7136  6 O 2.26-2.30
P  0.8775  0.5924  0.5406  4 O 1.54-1.61
O  0.3509  0.8681  0.8872  1 P 1.53
P  0.2680  0.7835  0.0806  4 O 1.53-1.62
P  0.7680  0.2165  0.9194  4 O 1.53-1.62
O  0.3867  0.5875  0.2332  2 P 1.61-1.62
O  0.7285  0.7552  0.5048  1 P 1.54

Calculated values
The space group is No. 4.


(B)
Compound: BiP2O7
Source: the Materials Project
Functional: GGA-PBE
Structure: relaxed

Cell lengths 6.5434, 6.7780, 6.9309 Å; angles 90.99, 108.07, 92.27 degrees
With the nearest neighbours (Å) after each atom.
Fractional coordinates of all 20 atoms:
O  0.8665  0.6475  0.5624  1 P 1.53
O  0.5212  0.2802  0.6370  2 P 1.61-1.63
O  0.4788  0.7198  0.3630  2 P 1.61-1.63
P  0.7102  0.6538  0.3460  4 O 1.53-1.63
O  0.1877  0.9365  0.3838  1 P 1.54
O  0.8198  0.1987  0.9607  1 P 1.54
Bi  0.1850  0.8493  0.7202  6 O 2.25-2.42
O  0.6601  0.4479  0.2432  1 P 1.53
P  0.3251  0.8891  0.2456  4 O 1.53-1.61
O  0.2244  0.1965  0.7892  1 P 1.53
P  0.6749  0.1109  0.7544  4 O 1.53-1.61
Bi  0.8150  0.1507  0.2798  6 O 2.25-2.42
O  0.4578  0.0714  0.2188  1 P 1.53
O  0.5422  0.9286  0.7812  1 P 1.53
O  0.7756  0.8035  0.2108  1 P 1.53
O  0.8123  0.0635  0.6162  1 P 1.54
P  0.2898  0.3462  0.6540  4 O 1.53-1.63
O  0.1802  0.8013  0.0393  1 P 1.54
O  0.3399  0.5521  0.7568  1 P 1.53
O  0.1335  0.3525  0.4376  1 P 1.53

Calculated values
The space group is No. 2.


(C)
Compound: BiP2O7
Source: the Materials Project
Functional: GGA-PBE
Structure: relaxed

Cell lengths 6.8120, 6.8120, 14.0552 Å; angles 73.97, 73.97, 80.29 degrees
With the nearest neighbours (Å) after each atom.
Fractional coordinates of all 40 atoms:
O  0.9844  0.4007  0.1904  1 P 1.53
O  0.7900  0.6737  0.6270  1 P 1.54
Bi  0.3849  0.8818  0.8612  6 O 2.25-2.30
Bi  0.8818  0.3849  0.3612  6 O 2.25-2.30
Bi  0.1182  0.6151  0.6388  6 O 2.25-2.30
O  0.7298  0.9011  0.8212  1 P 1.54
P  0.1052  0.2427  0.1309  4 O 1.53-1.62
P  0.2427  0.1052  0.6309  4 O 1.53-1.62
O  0.5875  0.2138  0.9731  1 P 1.54
P  0.7573  0.8948  0.3691  4 O 1.53-1.62
O  0.2100  0.3263  0.3730  1 P 1.54
O  0.6737  0.7900  0.1270  1 P 1.54
O  0.5993  0.0156  0.3096  1 P 1.53
P  0.5935  0.6683  0.0708  4 O 1.53-1.63
O  0.9654  0.1137  0.1091  1 P 1.54
O  0.9011  0.7298  0.3212  1 P 1.54
Bi  0.6151  0.1182  0.1388  6 O 2.25-2.30
P  0.4065  0.3317  0.9292  4 O 1.53-1.63
O  0.2193  0.3826  0.0224  2 P 1.62-1.63
O  0.4007  0.9844  0.6904  1 P 1.53
P  0.3317  0.4065  0.4292  4 O 1.53-1.63
O  0.0346  0.8863  0.8909  1 P 1.54
O  0.2138  0.5875  0.4731  1 P 1.54
O  0.4125  0.7862  0.0269  1 P 1.54
O  0.4595  0.5415  0.8597  1 P 1.53
O  0.0156  0.5993  0.8096  1 P 1.53
O  0.5415  0.4595  0.3597  1 P 1.53
O  0.1137  0.9654  0.6091  1 P 1.54
O  0.3826  0.2193  0.5224  2 P 1.62-1.63
O  0.8863  0.0346  0.3909  1 P 1.54
O  0.5405  0.4585  0.1403  1 P 1.53
O  0.4585  0.5405  0.6403  1 P 1.53
O  0.0989  0.2702  0.6788  1 P 1.54
O  0.3263  0.2100  0.8730  1 P 1.54
O  0.7807  0.6174  0.9776  2 P 1.62-1.63
O  0.2702  0.0989  0.1788  1 P 1.54
P  0.6683  0.5935  0.5708  4 O 1.53-1.63
O  0.7862  0.4125  0.5269  1 P 1.54
O  0.6174  0.7807  0.4776  2 P 1.62-1.63
P  0.8948  0.7573  0.8691  4 O 1.53-1.62

Calculated values
The space group is No. 15.


(A) is preferred energetically. Next in line: 8 meV per atom higher.


(A)
Compound: BiP2O7
Source: the Materials Project
Functional: GGA-PBE
Structure: relaxed

Cell lengths 8.8510, 7.6393, 10.1822 Å; angles 69.43, 90.00, 90.00 degrees
With the nearest neighbours (Å) after each atom.
Fractional coordinates of all 40 atoms:
P  0.7450  0.9249  0.4575  4 O 1.53-1.62
P  0.2048  0.6802  0.5591  4 O 1.53-1.62
O  0.1909  0.6819  0.4081  1 P 1.54
O  0.8374  0.1149  0.4389  2 P 1.62
O  0.3594  0.1996  0.0805  1 P 1.53
P  0.2550  0.0751  0.5425  4 O 1.53-1.62
Bi  0.5056  0.7394  0.7522  6 O 2.25-2.31
Bi  0.0056  0.2606  0.7478  6 O 2.25-2.31
O  0.6276  0.3590  0.3997  1 P 1.54
O  0.7110  0.8306  0.6152  1 P 1.54
O  0.2890  0.1694  0.3848  1 P 1.54
O  0.3091  0.6819  0.9081  1 P 1.54
O  0.5914  0.4441  0.8364  1 P 1.53
O  0.6039  0.9733  0.3651  1 P 1.53
Bi  0.4944  0.2606  0.2478  6 O 2.25-2.31
O  0.3961  0.0267  0.6349  1 P 1.53
O  0.6909  0.3181  0.0919  1 P 1.54
O  0.2110  0.1694  0.8848  1 P 1.54
O  0.8724  0.3590  0.8997  1 P 1.54
P  0.2450  0.0751  0.0425  4 O 1.53-1.62
O  0.1626  0.8851  0.5611  2 P 1.62
O  0.6626  0.1149  0.9389  2 P 1.62
O  0.3374  0.8851  0.0611  2 P 1.62
P  0.7952  0.3198  0.4409  4 O 1.53-1.62
O  0.7890  0.8306  0.1152  1 P 1.54
O  0.4086  0.5559  0.1636  1 P 1.53
O  0.0914  0.5559  0.6636  1 P 1.53
O  0.8594  0.8004  0.4195  1 P 1.53
O  0.8961  0.9733  0.8651  1 P 1.53
O  0.3724  0.6410  0.6003  1 P 1.54
O  0.8091  0.3181  0.5919  1 P 1.54
O  0.1039  0.0267  0.1349  1 P 1.53
Bi  0.9944  0.7394  0.2522  6 O 2.25-2.31
O  0.9086  0.4441  0.3364  1 P 1.53
O  0.1276  0.6410  0.1003  1 P 1.54
O  0.1406  0.1996  0.5805  1 P 1.53
O  0.6406  0.8004  0.9195  1 P 1.53
P  0.7550  0.9249  0.9575  4 O 1.53-1.62
P  0.7048  0.3198  0.9409  4 O 1.53-1.62
P  0.2952  0.6802  0.0591  4 O 1.53-1.62

Calculated values
The space group is No. 14.


(B)
Compound: BiP2O7
Source: the Materials Project
Functional: GGA-PBE
Structure: relaxed

Cell lengths 8.8615, 7.1786, 9.8422 Å; angles 74.22, 90.00, 90.00 degrees
With the nearest neighbours (Å) after each atom.
Fractional coordinates of all 40 atoms:
Bi  0.7689  0.7181  0.9937  6 O 2.25-2.31
Bi  0.7311  0.7181  0.4937  6 O 2.25-2.31
P  0.9158  0.4440  0.7926  4 O 1.54-1.62
O  0.7213  0.4778  0.3784  1 P 1.54
O  0.2787  0.5222  0.6216  1 P 1.54
O  0.0674  0.4752  0.8589  1 P 1.54
O  0.1739  0.0863  0.8666  1 P 1.54
P  0.5340  0.9397  0.7192  4 O 1.52-1.63
O  0.5446  0.8656  0.3375  1 P 1.52
O  0.9158  0.5658  0.6377  1 P 1.54
O  0.9554  0.8656  0.8375  1 P 1.52
O  0.4326  0.4752  0.3589  1 P 1.54
P  0.9660  0.9397  0.2192  4 O 1.52-1.63
O  0.8261  0.9137  0.1334  1 P 1.54
P  0.5842  0.4440  0.2926  4 O 1.54-1.62
O  0.4064  0.7812  0.7083  2 P 1.62-1.63
O  0.0446  0.1344  0.1625  1 P 1.52
P  0.4660  0.0603  0.2808  4 O 1.52-1.63
O  0.4233  0.0862  0.1248  1 P 1.54
P  0.0340  0.0603  0.7808  4 O 1.52-1.63
O  0.5936  0.2188  0.2917  2 P 1.62-1.63
O  0.0842  0.4342  0.3623  1 P 1.54
O  0.9326  0.5248  0.1411  1 P 1.54
P  0.4158  0.5560  0.7074  4 O 1.54-1.62
O  0.0936  0.7812  0.2083  2 P 1.62-1.63
O  0.3261  0.0863  0.3666  1 P 1.54
O  0.6739  0.9137  0.6334  1 P 1.54
P  0.0842  0.5560  0.2074  4 O 1.54-1.62
O  0.2213  0.5222  0.1216  1 P 1.54
O  0.9233  0.9138  0.3752  1 P 1.54
O  0.5767  0.9138  0.8752  1 P 1.54
O  0.5674  0.5248  0.6411  1 P 1.54
Bi  0.2311  0.2819  0.0063  6 O 2.25-2.31
O  0.5842  0.5658  0.1377  1 P 1.54
Bi  0.2689  0.2819  0.5063  6 O 2.25-2.31
O  0.0767  0.0862  0.6248  1 P 1.54
O  0.9064  0.2188  0.7917  2 P 1.62-1.63
O  0.4554  0.1344  0.6625  1 P 1.52
O  0.4158  0.4342  0.8623  1 P 1.54
O  0.7787  0.4778  0.8784  1 P 1.54

Calculated values
The space group is No. 14.


(C)
Compound: BiP2O7
Source: the Materials Project
Functional: GGA-PBE
Structure: relaxed

Cell lengths 9.5845, 7.7594, 9.8249 Å; angles 66.77, 90.00, 90.00 degrees
With the nearest neighbours (Å) after each atom.
Fractional coordinates of all 40 atoms:
O  0.6362  0.5278  0.1049  1 P 1.55
P  0.7816  0.5385  0.0323  4 O 1.53-1.61
O  0.2724  0.9006  0.7108  1 P 1.52
O  0.7724  0.0994  0.7892  1 P 1.52
O  0.7276  0.0994  0.2892  1 P 1.52
O  0.8033  0.7573  0.9289  2 P 1.61-1.62
O  0.3857  0.1236  0.2728  1 P 1.52
O  0.6143  0.8764  0.7272  1 P 1.52
O  0.1143  0.1236  0.7728  1 P 1.52
O  0.3638  0.4722  0.8951  1 P 1.55
Bi  0.0673  0.6809  0.1834  4 O 2.17-2.39
O  0.7218  0.4225  0.4373  1 P 1.53
P  0.2605  0.0845  0.7316  4 O 1.52-1.62
O  0.7782  0.4225  0.9373  1 P 1.53
O  0.2276  0.9006  0.2108  1 P 1.52
O  0.2782  0.5775  0.5627  1 P 1.53
P  0.7184  0.5385  0.5323  4 O 1.53-1.61
P  0.7395  0.9155  0.2684  4 O 1.52-1.62
O  0.3033  0.2427  0.5711  2 P 1.61-1.62
Bi  0.5673  0.3191  0.3166  4 O 2.17-2.39
P  0.7605  0.9155  0.7684  4 O 1.52-1.62
O  0.8632  0.9073  0.6513  1 P 1.53
O  0.0975  0.5080  0.8581  1 P 1.53
O  0.8638  0.5278  0.6049  1 P 1.55
O  0.6368  0.9073  0.1513  1 P 1.53
O  0.4025  0.5080  0.3581  1 P 1.53
O  0.3632  0.0927  0.8487  1 P 1.53
O  0.2218  0.5775  0.0627  1 P 1.53
Bi  0.9327  0.3191  0.8166  4 O 2.17-2.39
O  0.1967  0.2427  0.0711  2 P 1.61-1.62
P  0.2395  0.0845  0.2316  4 O 1.52-1.62
O  0.9025  0.4920  0.1419  1 P 1.53
Bi  0.4327  0.6809  0.6834  4 O 2.17-2.39
O  0.5975  0.4920  0.6419  1 P 1.53
O  0.1368  0.0927  0.3487  1 P 1.53
O  0.8857  0.8764  0.2272  1 P 1.52
O  0.1362  0.4722  0.3951  1 P 1.55
P  0.2816  0.4615  0.4677  4 O 1.53-1.61
P  0.2184  0.4615  0.9677  4 O 1.53-1.61
O  0.6967  0.7573  0.4289  2 P 1.61-1.62

Calculated values
The space group is No. 14.


(A) is preferred energetically. Next in line: 15 meV per atom higher.